# 1
The following is a r2SCAN calculation of a relaxed structure of Mg2Zn, from the Materials Project database.

Calculated values
* SG: Cmcm

Cell lengths 7.7400, 7.7400, 4.7271 Å; angles 90.00, 90.00, 156.29 degrees
Positions (direct):
Mg  0.0926  0.9074  0.7500
Mg  0.2176  0.7824  0.2500
Mg  0.7824  0.2176  0.7500
Mg  0.9074  0.0926  0.2500
Zn  0.4405  0.5595  0.7500
Zn  0.5595  0.4405  0.2500

***

# 2
The following is a r2SCAN calculation of a relaxed structure of Mg2Zn, from the Materials Project database.

Calculated values
* SG: C2/m

Cell lengths 5.9090, 5.9090, 6.5008 Å; angles 105.41, 105.41, 31.57 degrees
Positions (direct):
Mg  0.1413  0.1413  0.0604
Mg  0.1598  0.1598  0.5924
Mg  0.8402  0.8402  0.4076
Mg  0.8587  0.8587  0.9396
Zn  0.4913  0.4913  0.7217
Zn  0.5087  0.5087  0.2783

***

# 3
The following is a r2SCAN calculation of a relaxed structure of Mg2Zn11, from the Materials Project database.

Calculated values
* SG: Pm-3

Cell lengths 8.4117, 8.4117, 8.4117 Å; angles 90.00, 90.00, 90.00 degrees
Positions (direct):
Mg  0.0000  0.1978  0.5000
Mg  0.0000  0.8022  0.5000
Mg  0.1978  0.5000  0.0000
Mg  0.5000  0.0000  0.1978
Mg  0.5000  0.0000  0.8022
Mg  0.8022  0.5000  0.0000
Zn  0.0000  0.0000  0.0000
Zn  0.0000  0.2638  0.1576
Zn  0.0000  0.2638  0.8424
Zn  0.0000  0.5000  0.3391
Zn  0.0000  0.5000  0.6609
Zn  0.0000  0.7362  0.1576
Zn  0.0000  0.7362  0.8424
Zn  0.1576  0.0000  0.2638
Zn  0.1576  0.0000  0.7362
Zn  0.2638  0.1576  0.0000
Zn  0.2638  0.8424  0.0000
Zn  0.2703  0.5000  0.5000
Zn  0.2816  0.2816  0.2816
Zn  0.2816  0.2816  0.7184
Zn  0.2816  0.7184  0.2816
Zn  0.2816  0.7184  0.7184
Zn  0.3391  0.0000  0.5000
Zn  0.5000  0.2703  0.5000
Zn  0.5000  0.3391  0.0000
Zn  0.5000  0.5000  0.2703
Zn  0.5000  0.5000  0.7297
Zn  0.5000  0.6609  0.0000
Zn  0.5000  0.7297  0.5000
Zn  0.6609  0.0000  0.5000
Zn  0.7184  0.2816  0.2816
Zn  0.7184  0.2816  0.7184
Zn  0.7184  0.7184  0.2816
Zn  0.7184  0.7184  0.7184
Zn  0.7297  0.5000  0.5000
Zn  0.7362  0.1576  0.0000
Zn  0.7362  0.8424  0.0000
Zn  0.8424  0.0000  0.2638
Zn  0.8424  0.0000  0.7362

***

# 4
The following is a r2SCAN calculation of a relaxed structure of Mg2Zn, from the Materials Project database.

Calculated values
* SG: Cmcm

Cell lengths 7.5786, 7.5786, 4.8001 Å; angles 90.00, 90.00, 155.66 degrees
Positions (direct):
Mg  0.0596  0.9404  0.7500
Mg  0.2657  0.7343  0.2500
Mg  0.7343  0.2657  0.7500
Mg  0.9404  0.0596  0.2500
Zn  0.3917  0.6083  0.7500
Zn  0.6083  0.3917  0.2500

***

# 5
The following is a r2SCAN calculation of a relaxed structure of Mg15Zr, from the Materials Project database.

Calculated values
* SG: P-6m2

Cell lengths 6.3862, 6.3862, 10.1666 Å; angles 90.00, 90.00, 120.00 degrees
Positions (direct):
Mg  0.0000  0.0000  0.0000
Mg  0.9996  0.4998  0.0000
Mg  0.0073  0.5037  0.5000
Mg  0.1637  0.3275  0.2520
Mg  0.1637  0.3275  0.7480
Mg  0.1637  0.8363  0.2520
Mg  0.1637  0.8363  0.7480
Mg  0.4963  0.5037  0.5000
Mg  0.4963  0.9927  0.5000
Mg  0.5002  0.0004  0.0000
Mg  0.5002  0.4998  0.0000
Mg  0.6667  0.3333  0.2554
Mg  0.6667  0.3333  0.7446
Mg  0.6725  0.8363  0.2520
Mg  0.6725  0.8363  0.7480
Zr  0.0000  0.0000  0.5000

***

# 6
The following is a r2SCAN calculation of a relaxed structure of MgZr2, from the Materials Project database.

Calculated values
* SG: R-3m

Cell lengths 7.9974, 7.9974, 7.9974 Å; angles 23.32, 23.32, 23.32 degrees
Positions (direct):
Mg  0.0000  0.0000  0.0000
Zr  0.2194  0.2194  0.2194
Zr  0.7806  0.7806  0.7806

***

# 7
The following is a r2SCAN calculation of a relaxed structure of MnMoO4, from the Materials Project database.

Calculated values
* SG: P2/c

Cell lengths 4.7490, 5.7295, 4.9515 Å; angles 90.00, 90.59, 90.00 degrees
Positions (direct):
Mn  0.0000  0.1820  0.2500
Mn  0.0000  0.8180  0.7500
Mo  0.5000  0.3148  0.7500
Mo  0.5000  0.6852  0.2500
O  0.2451  0.1232  0.6006
O  0.2451  0.8768  0.1006
O  0.2846  0.3942  0.0577
O  0.2846  0.6058  0.5577
O  0.7154  0.3942  0.4423
O  0.7154  0.6058  0.9423
O  0.7549  0.1232  0.8994
O  0.7549  0.8768  0.3994

***

# 8
The following is a r2SCAN calculation of a relaxed structure of MnMoO4, from the Materials Project database.

Calculated values
* SG: C2/m

Cell lengths 7.0504, 7.0504, 7.1443 Å; angles 102.51, 102.51, 84.19 degrees
Positions (direct):
Mn  0.1836  0.8164  0.0000
Mn  0.2055  0.2055  0.3627
Mn  0.7945  0.7945  0.6373
Mn  0.8164  0.1836  0.0000
Mo  0.2494  0.7506  0.5000
Mo  0.2690  0.2690  0.9057
Mo  0.7310  0.7310  0.0943
Mo  0.7506  0.2494  0.5000
O  0.1111  0.8055  0.6927
O  0.1418  0.1418  0.0375
O  0.1945  0.8889  0.3073
O  0.1983  0.1983  0.6496
O  0.2111  0.5173  0.9714
O  0.2147  0.5067  0.3920
O  0.4827  0.7889  0.0286
O  0.4933  0.7853  0.6080
O  0.5067  0.2147  0.3920
O  0.5173  0.2111  0.9714
O  0.7853  0.4933  0.6080
O  0.7889  0.4827  0.0286
O  0.8017  0.8017  0.3504
O  0.8055  0.1111  0.6927
O  0.8582  0.8582  0.9625
O  0.8889  0.1945  0.3073

***

# 9
The following is a r2SCAN calculation of a relaxed structure of Th2MnN3, from the Materials Project database.

Calculated values
* SG: Immm

Cell lengths 6.8886, 6.8886, 6.8886 Å; angles 150.23, 147.32, 44.79 degrees
Positions (direct):
Th  0.1449  0.1449  0.0000
Th  0.8551  0.8551  0.0000
Mn  0.5000  0.5000  0.0000
N  0.0000  0.5000  0.5000
N  0.3369  0.3369  0.0000
N  0.6631  0.6631  0.0000

***

# 10
The following is a r2SCAN calculation of a relaxed structure of U2MnN3, from the Materials Project database.

Calculated values
* SG: Immm

Cell lengths 6.5845, 6.5845, 6.5845 Å; angles 150.49, 146.42, 45.30 degrees
Positions (direct):
U  0.1454  0.1454  0.0000
U  0.8546  0.8546  0.0000
Mn  0.5000  0.5000  0.0000
N  0.0000  0.5000  0.5000
N  0.3328  0.3328  0.0000
N  0.6672  0.6672  0.0000

***

# 11
The following is a r2SCAN calculation of a relaxed structure of Na4Mn2O5, from the Materials Project database.

Calculated values
* SG: Fddd

Cell lengths 10.7910, 10.1576, 5.4421 Å; angles 81.50, 68.58, 29.92 degrees
Positions (direct):
Na  0.0329  0.5371  0.7163
Na  0.2136  0.7163  0.5371
Na  0.2837  0.7864  0.9671
Na  0.4629  0.9671  0.7864
Na  0.5371  0.0329  0.2136
Na  0.7163  0.2136  0.0329
Na  0.7864  0.2837  0.4629
Na  0.9671  0.4629  0.2837
Mn  0.0967  0.6533  0.0967
Mn  0.3467  0.9033  0.3467
Mn  0.6533  0.0967  0.6533
Mn  0.9033  0.3467  0.9033
O  0.0594  0.0594  0.6906
O  0.1250  0.1250  0.1250
O  0.1914  0.1914  0.5586
O  0.3094  0.3094  0.9406
O  0.4414  0.4414  0.8086
O  0.5586  0.5586  0.1914
O  0.6906  0.6906  0.0594
O  0.8086  0.8086  0.4414
O  0.8750  0.8750  0.8750
O  0.9406  0.9406  0.3094

***

# 12
The following is a r2SCAN calculation of a relaxed structure of NaMn2O4, from the Materials Project database.

Calculated values
* SG: Pnma

Cell lengths 8.8512, 2.8564, 11.0215 Å; angles 90.00, 90.00, 90.00 degrees
Positions (direct):
Na  0.2464  0.2500  0.1625
Na  0.2536  0.7500  0.6625
Na  0.7464  0.2500  0.3375
Na  0.7536  0.7500  0.8375
Mn  0.0689  0.2500  0.3878
Mn  0.0817  0.2500  0.9032
Mn  0.4183  0.7500  0.4032
Mn  0.4311  0.7500  0.8878
Mn  0.5689  0.2500  0.1122
Mn  0.5817  0.2500  0.5968
Mn  0.9183  0.7500  0.0968
Mn  0.9311  0.7500  0.6122
O  0.0270  0.7500  0.8005
O  0.0694  0.2500  0.5845
O  0.1165  0.7500  0.0203
O  0.2115  0.7500  0.3477
O  0.2885  0.2500  0.8477
O  0.3835  0.2500  0.5203
O  0.4306  0.7500  0.0845
O  0.4730  0.2500  0.3005
O  0.5270  0.7500  0.6995
O  0.5694  0.2500  0.9155
O  0.6165  0.7500  0.4797
O  0.7115  0.7500  0.1523
O  0.7885  0.2500  0.6523
O  0.8835  0.2500  0.9797
O  0.9306  0.7500  0.4155
O  0.9730  0.2500  0.1995

***

It is found that the formation enthalpy at 0 K values, taken in the order of the records, are -26; -30; -76; -16; 27; 37; -2206; -2189; -1609; -1464; -1957; -2134 meV per atom.
It is found that the ρ values, taken in the order of the records, are 3.33; 3.32; 6.43; 3.33; 2.11; 4.88; 5.30; 4.22; 10.66; 12.27; 3.63; 4.69 g/cm3.